(1)
# r2SCAN BaTi8O16, relaxed
# **E_form**: -3.326 eV per atom
# **M_tot**: 0.081 μB/atom
data_BaTi8O16
_chemical_formula_sum 'Ba1 Ti8 O16'
_space_group_name_H-M_alt 'P -1'
_space_group_IT_number 2
_cell_length_a 5.919
_cell_length_b 7.276
_cell_length_c 7.381
_cell_angle_alpha 89.26
_cell_angle_beta 78.38
_cell_angle_gamma 78.15
loop_
_space_group_symop_operation_xyz
'x,y,z'
'-x,-y,-z'
loop_
_atom_site_label
_atom_site_type_symbol
_atom_site_fract_x
_atom_site_fract_y
_atom_site_fract_z
Ba1 Ba 0.000 0.000 0.000
Ti1 Ti 0.075 0.505 0.185
Ti2 Ti 0.169 0.812 0.513
Ti3 Ti 0.338 0.179 0.469
Ti4 Ti 0.424 0.482 0.820
O1 O 0.024 0.303 0.618
O2 O 0.148 0.038 0.354
O3 O 0.163 0.642 0.719
O4 O 0.171 0.354 0.948
O5 O 0.321 0.642 0.053
O6 O 0.339 0.368 0.287
O7 O 0.345 0.962 0.642
O8 O 0.485 0.696 0.385


(2)
# r2SCAN CdSnAs2, relaxed
# **E_form**: -0.197 eV per atom
# **M_tot**: 0.000 μB/atom
data_CdSnAs2
_chemical_formula_sum 'Cd4 Sn4 As8'
_space_group_name_H-M_alt 'I -4 2 d'
_space_group_IT_number 122
_space_group_name_Hall 'I -4 2bw'
_cell_length_a 6.146
_cell_length_b 6.146
_cell_length_c 12.042
_cell_angle_alpha 90.00
_cell_angle_beta 90.00
_cell_angle_gamma 90.00
loop_
_atom_site_label
_atom_site_type_symbol
_atom_site_fract_x
_atom_site_fract_y
_atom_site_fract_z
Cd1 Cd 0.000 0.000 0.000
Sn1 Sn 0.000 0.000 0.500
As1 As 0.245 0.750 0.625


(3)
# r2SCAN Ge4Ir, relaxed
# **E_form**: -0.137 eV per atom
# **M_tot**: 0.000 μB/atom
data_Ge4Ir
_chemical_formula_sum 'Ge12 Ir3'
_space_group_name_H-M_alt 'P 31 2 1'
_space_group_IT_number 152
_cell_length_a 6.2347
_cell_length_b 6.2347
_cell_length_c 7.8000
_cell_angle_alpha 90.00
_cell_angle_beta 90.00
_cell_angle_gamma 120.00
loop_
_space_group_symop_operation_xyz
'x,y,z'
'-y,x-y,z+1/3'
'-x+y,-x,z+2/3'
'y,x,-z'
'x-y,-y,-z+2/3'
'-x,-x+y,-z+1/3'
loop_
_atom_site_label
_atom_site_type_symbol
_atom_site_fract_x
_atom_site_fract_y
_atom_site_fract_z
Ge1 Ge 0.0000 0.0745 0.1667
Ge2 Ge 0.0000 0.6160 0.1667
Ge3 Ge 0.2196 0.4811 0.9506
Ir1 Ir 0.0000 0.3170 0.6667


(4)
# r2SCAN MnH9C4N3O6, relaxed
# **E_form**: -0.803 eV per atom
# **M_tot**: 0.000 μB/atom
data_MnH9C4N3O6
_chemical_formula_sum 'Mn4 H36 C16 N12 O24'
_space_group_name_H-M_alt 'P n n a'
_space_group_IT_number 52
_cell_length_a 8.397
_cell_length_b 11.835
_cell_length_c 9.071
_cell_angle_alpha 90.00
_cell_angle_beta 90.00
_cell_angle_gamma 90.00
loop_
_space_group_symop_operation_xyz
'x,y,z'
'-x,-y,-z'
'-x+1/2,-y,z'
'x+1/2,y,-z'
'x,-y+1/2,-z+1/2'
'-x,y+1/2,z+1/2'
'-x+1/2,y+1/2,-z+1/2'
'x+1/2,-y+1/2,z+1/2'
loop_
_atom_site_label
_atom_site_type_symbol
_atom_site_fract_x
_atom_site_fract_y
_atom_site_fract_z
Mn1 Mn 0.240 0.250 0.250
H1 H 0.083 0.123 0.748
H2 H 0.110 0.728 0.924
H3 H 0.174 0.081 0.579
H4 H 0.189 0.061 0.967
H5 H 0.250 0.000 0.192
C1 C 0.030 0.714 0.517
C2 C 0.250 0.000 0.314
C3 C 0.250 0.000 0.764
N1 N 0.161 0.075 0.691
N2 N 0.250 0.000 0.910
O1 O 0.062 0.690 0.385
O2 O 0.089 0.175 0.085
O3 O 0.235 0.094 0.378


(5)
# r2SCAN CeUO4, relaxed
# **E_form**: -3.790 eV per atom
# **M_tot**: 0.114 μB/atom
data_CeUO4
_chemical_formula_sum 'Ce3 U3 O12'
_space_group_name_H-M_alt 'R -3 m'
_space_group_IT_number 166
_space_group_name_Hall '-R 3 2"'
_cell_length_a 3.8579
_cell_length_b 3.8579
_cell_length_c 18.8024
_cell_angle_alpha 90.00
_cell_angle_beta 90.00
_cell_angle_gamma 120.00
loop_
_atom_site_label
_atom_site_type_symbol
_atom_site_fract_x
_atom_site_fract_y
_atom_site_fract_z
Ce1 Ce 0.0000 0.0000 0.0000
U1 U 0.0000 0.0000 0.5000
O1 O 0.0000 0.0000 0.1316
O2 O 0.0000 0.0000 0.3816


(6)
# r2SCAN RbHo2Cl7, relaxed
# **E_form**: -2.509 eV per atom
# **M_tot**: 0.000 μB/atom
data_RbHo2Cl7
_chemical_formula_sum 'Rb4 Ho8 Cl28'
_space_group_name_H-M_alt 'P n m a'
_space_group_IT_number 62
_cell_length_a 13.075
_cell_length_b 6.913
_cell_length_c 12.561
_cell_angle_alpha 90.00
_cell_angle_beta 90.00
_cell_angle_gamma 90.00
loop_
_space_group_symop_operation_xyz
'x,y,z'
'-x,-y,-z'
'-x+1/2,-y,z+1/2'
'x+1/2,y,-z+1/2'
'x+1/2,-y+1/2,-z+1/2'
'-x+1/2,y+1/2,z+1/2'
'-x,y+1/2,-z'
'x,-y+1/2,z'
loop_
_atom_site_label
_atom_site_type_symbol
_atom_site_fract_x
_atom_site_fract_y
_atom_site_fract_z
Rb1 Rb 0.041 0.250 0.196
Ho1 Ho 0.238 0.250 0.540
Ho2 Ho 0.249 0.250 0.843
Cl1 Cl 0.106 0.750 0.189
Cl2 Cl 0.122 0.010 0.422
Cl3 Cl 0.130 0.010 0.961
Cl4 Cl 0.175 0.007 0.693


(7)
# r2SCAN V2OsRu, relaxed
# **E_form**: -0.328 eV per atom
# **M_tot**: 0.379 μB/atom
data_V2OsRu
_chemical_formula_sum 'V8 Os4 Ru4'
_space_group_name_H-M_alt 'F m -3 m'
_space_group_IT_number 225
_space_group_name_Hall '-F 4 2 3'
_cell_length_a 6.020
_cell_length_b 6.020
_cell_length_c 6.020
_cell_angle_alpha 90.00
_cell_angle_beta 90.00
_cell_angle_gamma 90.00
loop_
_atom_site_label
_atom_site_type_symbol
_atom_site_fract_x
_atom_site_fract_y
_atom_site_fract_z
V1 V 0.250 0.250 0.250
Os1 Os 0.000 0.000 0.000
Ru1 Ru 0.000 0.000 0.500


(8)
# r2SCAN Ce3Tl, relaxed
# **E_form**: -0.270 eV per atom
# **M_tot**: 1.217 μB/atom
data_Ce3Tl
_chemical_formula_sum 'Ce3 Tl1'
_space_group_name_H-M_alt 'P m -3 m'
_space_group_IT_number 221
_space_group_name_Hall '-P 4 2 3'
_cell_length_a 4.902
_cell_length_b 4.902
_cell_length_c 4.902
_cell_angle_alpha 90.00
_cell_angle_beta 90.00
_cell_angle_gamma 90.00
loop_
_atom_site_label
_atom_site_type_symbol
_atom_site_fract_x
_atom_site_fract_y
_atom_site_fract_z
Ce1 Ce 0.000 0.000 0.500
Tl1 Tl 0.500 0.500 0.500


(9)
# r2SCAN SiO2, relaxed
# **E_form**: -3.014 eV per atom
# **M_tot**: 0.000 μB/atom
data_SiO2
_chemical_formula_sum 'Si20 O40'
_space_group_name_H-M_alt 'P -1'
_space_group_IT_number 2
_cell_length_a 9.298
_cell_length_b 11.133
_cell_length_c 13.002
_cell_angle_alpha 103.37
_cell_angle_beta 107.56
_cell_angle_gamma 92.30
loop_
_space_group_symop_operation_xyz
'x,y,z'
'-x,-y,-z'
loop_
_atom_site_label
_atom_site_type_symbol
_atom_site_fract_x
_atom_site_fract_y
_atom_site_fract_z
Si1 Si 0.070 0.250 0.080
Si2 Si 0.077 0.572 0.377
Si3 Si 0.129 0.655 0.624
Si4 Si 0.149 0.874 0.824
Si5 Si 0.188 0.393 0.825
Si6 Si 0.202 0.618 0.030
Si7 Si 0.237 0.148 0.911
Si8 Si 0.272 0.499 0.235
Si9 Si 0.410 0.554 0.767
Si10 Si 0.429 0.771 0.968
O1 O 0.008 0.837 0.863
O2 O 0.013 0.435 0.378
O3 O 0.046 0.376 0.713
O4 O 0.060 0.698 0.007
O5 O 0.112 0.666 0.499
O6 O 0.130 0.791 0.700
O7 O 0.156 0.019 0.823
O8 O 0.163 0.493 0.928
O9 O 0.171 0.171 0.015
O10 O 0.177 0.363 0.178
O11 O 0.205 0.260 0.852
O12 O 0.228 0.583 0.146
O13 O 0.230 0.564 0.345
O14 O 0.283 0.595 0.671
O15 O 0.306 0.853 0.910
O16 O 0.340 0.441 0.803
O17 O 0.356 0.698 0.037
O18 O 0.418 0.141 0.953
O19 O 0.451 0.490 0.276
O20 O 0.475 0.671 0.875


(10)
# r2SCAN CaHoRh2, relaxed
# **E_form**: -0.654 eV per atom
# **M_tot**: 0.000 μB/atom
data_CaHoRh2
_chemical_formula_sum 'Ca4 Ho4 Rh8'
_space_group_name_H-M_alt 'F m -3 m'
_space_group_IT_number 225
_space_group_name_Hall '-F 4 2 3'
_cell_length_a 6.764
_cell_length_b 6.764
_cell_length_c 6.764
_cell_angle_alpha 90.00
_cell_angle_beta 90.00
_cell_angle_gamma 90.00
loop_
_atom_site_label
_atom_site_type_symbol
_atom_site_fract_x
_atom_site_fract_y
_atom_site_fract_z
Ca1 Ca 0.000 0.000 0.000
Ho1 Ho 0.000 0.000 0.500
Rh1 Rh 0.250 0.250 0.250


(11)
# r2SCAN LiCeF5, relaxed
# **E_form**: -3.762 eV per atom
# **M_tot**: 0.000 μB/atom
data_LiCeF5
_chemical_formula_sum 'Li16 Ce16 F80'
_space_group_name_H-M_alt 'I 41/a'
_space_group_IT_number 88
_cell_length_a 14.715
_cell_length_b 14.715
_cell_length_c 6.502
_cell_angle_alpha 90.00
_cell_angle_beta 90.00
_cell_angle_gamma 90.00
loop_
_space_group_symop_operation_xyz
'x,y,z'
'-x,-y,-z'
'-y+3/4,x+1/4,z+1/4'
'y+3/4,-x+1/4,-z+1/4'
'-x+1/2,-y,z+1/2'
'x+1/2,y,-z+1/2'
'y+3/4,-x+3/4,z+3/4'
'-y+3/4,x+3/4,-z+3/4'
'x+1/2,y+1/2,z+1/2'
'-x+1/2,-y+1/2,-z+1/2'
'-y+1/4,x+3/4,z+3/4'
'y+1/4,-x+3/4,-z+3/4'
'-x,-y+1/2,z'
'x,y+1/2,-z'
'y+1/4,-x+1/4,z+1/4'
'-y+1/4,x+1/4,-z+1/4'
loop_
_atom_site_label
_atom_site_type_symbol
_atom_site_fract_x
_atom_site_fract_y
_atom_site_fract_z
Li1 Li 0.074 0.333 0.268
Ce1 Ce 0.063 0.444 0.744
F1 F 0.036 0.448 0.368
F2 F 0.049 0.335 0.982
F3 F 0.067 0.141 0.679
F4 F 0.077 0.040 0.002
F5 F 0.158 0.043 0.397


(12)
# r2SCAN CaI2O4, relaxed
# **E_form**: -1.034 eV per atom
# **M_tot**: 0.000 μB/atom
data_CaI2O4
_chemical_formula_sum 'Ca2 I4 O8'
_space_group_name_H-M_alt 'P 1 21/c 1'
_space_group_IT_number 14
_cell_length_a 3.757
_cell_length_b 9.427
_cell_length_c 7.123
_cell_angle_alpha 90.00
_cell_angle_beta 100.54
_cell_angle_gamma 90.00
loop_
_space_group_symop_operation_xyz
'x,y,z'
'-x,-y,-z'
'-x,y+1/2,-z+1/2'
'x,-y+1/2,z+1/2'
loop_
_atom_site_label
_atom_site_type_symbol
_atom_site_fract_x
_atom_site_fract_y
_atom_site_fract_z
Ca1 Ca 0.000 0.000 0.000
I1 I 0.267 0.129 0.621
O1 O 0.040 0.546 0.176
O2 O 0.467 0.139 0.891


(13)
# r2SCAN LaNi2P2, relaxed
# **E_form**: -1.042 eV per atom
# **M_tot**: 0.000 μB/atom
data_LaNi2P2
_chemical_formula_sum 'La2 Ni4 P4'
_space_group_name_H-M_alt 'I 4/m m m'
_space_group_IT_number 139
_space_group_name_Hall '-I 4 2'
_cell_length_a 3.997
_cell_length_b 3.997
_cell_length_c 9.635
_cell_angle_alpha 90.00
_cell_angle_beta 90.00
_cell_angle_gamma 90.00
loop_
_atom_site_label
_atom_site_type_symbol
_atom_site_fract_x
_atom_site_fract_y
_atom_site_fract_z
La1 La 0.000 0.000 0.000
Ni1 Ni 0.000 0.500 0.250
P1 P 0.000 0.000 0.366